(1)
A relaxed KZn13 crystal, computed with r²SCAN.

Output
electronic total energy = -8.799 eV/atom

Cell and atoms, written as CIF:
```
data_KZn13
_cell_length_a 8.603
_cell_length_b 8.603
_cell_length_c 8.603
_cell_angle_alpha 60.00
_cell_angle_beta 60.00
_cell_angle_gamma 60.00
_symmetry_space_group_name_H-M 'P 1'
_symmetry_Int_Tables_number 1
_symmetry_space_group_name_Hall 'P 1'
loop_
_atom_site_label
_atom_site_type_symbol
_atom_site_fract_x
_atom_site_fract_y
_atom_site_fract_z
_atom_site_occupancy
K1 K 0.250 0.250 0.250 1
K2 K 0.750 0.750 0.750 1
Zn1 Zn 0.000 0.000 0.000 1
Zn2 Zn 0.062 0.299 0.701 1
Zn3 Zn 0.062 0.701 0.938 1
Zn4 Zn 0.062 0.938 0.299 1
Zn5 Zn 0.201 0.438 0.799 1
Zn6 Zn 0.201 0.562 0.438 1
Zn7 Zn 0.201 0.799 0.562 1
Zn8 Zn 0.299 0.062 0.938 1
Zn9 Zn 0.299 0.701 0.062 1
Zn10 Zn 0.299 0.938 0.701 1
Zn11 Zn 0.438 0.201 0.562 1
Zn12 Zn 0.438 0.562 0.799 1
Zn13 Zn 0.438 0.799 0.201 1
Zn14 Zn 0.500 0.500 0.500 1
Zn15 Zn 0.562 0.201 0.799 1
Zn16 Zn 0.562 0.438 0.201 1
Zn17 Zn 0.562 0.799 0.438 1
Zn18 Zn 0.701 0.062 0.299 1
Zn19 Zn 0.701 0.299 0.938 1
Zn20 Zn 0.701 0.938 0.062 1
Zn21 Zn 0.799 0.201 0.438 1
Zn22 Zn 0.799 0.438 0.562 1
Zn23 Zn 0.799 0.562 0.201 1
Zn24 Zn 0.938 0.062 0.701 1
Zn25 Zn 0.938 0.299 0.062 1
Zn26 Zn 0.938 0.701 0.299 1
```

=====

(2)
A relaxed La crystal, computed with r²SCAN.

Output
energy relative to the lowest polymorph listed for this composition = 0.00 kcal/mol of atoms

Cell and atoms, written as CIF:
```
data_La
_cell_length_a 3.796
_cell_length_b 3.796
_cell_length_c 12.041
_cell_angle_alpha 90.00
_cell_angle_beta 90.00
_cell_angle_gamma 120.00
_symmetry_space_group_name_H-M 'P 1'
_symmetry_Int_Tables_number 1
_symmetry_space_group_name_Hall 'P 1'
loop_
_atom_site_label
_atom_site_type_symbol
_atom_site_fract_x
_atom_site_fract_y
_atom_site_fract_z
_atom_site_occupancy
La1 La 0.000 0.000 0.000 1
La2 La 0.000 0.000 0.500 1
La3 La 0.333 0.667 0.250 1
La4 La 0.667 0.333 0.750 1
```

=====

(3)
A relaxed La crystal, computed with r²SCAN.

Output
energy relative to the lowest polymorph listed for this composition = 0.45 kcal/mol of atoms

Cell and atoms, written as CIF:
```
data_La
_cell_length_a 5.323
_cell_length_b 5.323
_cell_length_c 5.323
_cell_angle_alpha 90.00
_cell_angle_beta 90.00
_cell_angle_gamma 90.00
_symmetry_space_group_name_H-M 'P 1'
_symmetry_Int_Tables_number 1
_symmetry_space_group_name_Hall 'P 1'
loop_
_atom_site_label
_atom_site_type_symbol
_atom_site_fract_x
_atom_site_fract_y
_atom_site_fract_z
_atom_site_occupancy
La1 La 0.000 0.000 0.000 1
La2 La 0.000 0.500 0.500 1
La3 La 0.500 0.000 0.500 1
La4 La 0.500 0.500 0.000 1
```

=====

(4)
A relaxed La crystal, computed with r²SCAN.

Output
energy relative to the lowest polymorph listed for this composition = 2.40 kcal/mol of atoms

Cell and atoms, written as CIF:
```
data_La
_cell_length_a 4.248
_cell_length_b 4.248
_cell_length_c 4.248
_cell_angle_alpha 90.00
_cell_angle_beta 90.00
_cell_angle_gamma 90.00
_symmetry_space_group_name_H-M 'P 1'
_symmetry_Int_Tables_number 1
_symmetry_space_group_name_Hall 'P 1'
loop_
_atom_site_label
_atom_site_type_symbol
_atom_site_fract_x
_atom_site_fract_y
_atom_site_fract_z
_atom_site_occupancy
La1 La 0.000 0.000 0.000 1
La2 La 0.500 0.500 0.500 1
```

=====

(5)
A relaxed LiLaO2 crystal, computed with r²SCAN.

Output
electronic total energy = -14.086 eV/atom

Cell and atoms, written as CIF:
```
data_LiLaO2
_cell_length_a 6.705
_cell_length_b 6.104
_cell_length_c 7.013
_cell_angle_alpha 90.00
_cell_angle_beta 121.46
_cell_angle_gamma 90.00
_symmetry_space_group_name_H-M 'P 1'
_symmetry_Int_Tables_number 1
_symmetry_space_group_name_Hall 'P 1'
loop_
_atom_site_label
_atom_site_type_symbol
_atom_site_fract_x
_atom_site_fract_y
_atom_site_fract_z
_atom_site_occupancy
Li1 Li 0.180 0.171 0.392 1
Li2 Li 0.180 0.329 0.892 1
Li3 Li 0.820 0.671 0.108 1
Li4 Li 0.820 0.829 0.608 1
La1 La 0.280 0.643 0.542 1
La2 La 0.280 0.857 0.042 1
La3 La 0.720 0.143 0.958 1
La4 La 0.720 0.357 0.458 1
O1 O 0.054 0.598 0.734 1
O2 O 0.054 0.902 0.234 1
O3 O 0.462 0.201 0.104 1
O4 O 0.462 0.299 0.604 1
O5 O 0.538 0.701 0.396 1
O6 O 0.538 0.799 0.896 1
O7 O 0.946 0.098 0.766 1
O8 O 0.946 0.402 0.266 1
```

=====

(6)
A relaxed LiLa2Os crystal, computed with r²SCAN.

Output
electronic total energy = -28.798 eV/atom

Cell and atoms, written as CIF:
```
data_LiLa2Os
_cell_length_a 7.249
_cell_length_b 7.249
_cell_length_c 7.249
_cell_angle_alpha 90.00
_cell_angle_beta 90.00
_cell_angle_gamma 90.00
_symmetry_space_group_name_H-M 'P 1'
_symmetry_Int_Tables_number 1
_symmetry_space_group_name_Hall 'P 1'
loop_
_atom_site_label
_atom_site_type_symbol
_atom_site_fract_x
_atom_site_fract_y
_atom_site_fract_z
_atom_site_occupancy
Li1 Li 0.000 0.000 0.000 1
Li2 Li 0.000 0.500 0.500 1
Li3 Li 0.500 0.000 0.500 1
Li4 Li 0.500 0.500 0.000 1
La1 La 0.250 0.250 0.250 1
La2 La 0.250 0.250 0.750 1
La3 La 0.250 0.750 0.250 1
La4 La 0.250 0.750 0.750 1
La5 La 0.750 0.250 0.250 1
La6 La 0.750 0.250 0.750 1
La7 La 0.750 0.750 0.250 1
La8 La 0.750 0.750 0.750 1
Os1 Os 0.000 0.000 0.500 1
Os2 Os 0.000 0.500 0.000 1
Os3 Os 0.500 0.000 0.000 1
Os4 Os 0.500 0.500 0.500 1
```

=====

(7)
A relaxed Li2La2Si3 crystal, computed with r²SCAN.

Output
electronic total energy = -13.636 eV/atom

Cell and atoms, written as CIF:
```
data_Li2La2Si3
_cell_length_a 9.671
_cell_length_b 9.671
_cell_length_c 6.917
_cell_angle_alpha 90.00
_cell_angle_beta 90.00
_cell_angle_gamma 152.96
_symmetry_space_group_name_H-M 'P 1'
_symmetry_Int_Tables_number 1
_symmetry_space_group_name_Hall 'P 1'
loop_
_atom_site_label
_atom_site_type_symbol
_atom_site_fract_x
_atom_site_fract_y
_atom_site_fract_z
_atom_site_occupancy
Li1 Li 0.188 0.812 0.561 1
Li2 Li 0.188 0.812 0.939 1
Li3 Li 0.812 0.188 0.061 1
Li4 Li 0.812 0.188 0.439 1
La1 La 0.340 0.660 0.750 1
La2 La 0.448 0.552 0.250 1
La3 La 0.552 0.448 0.750 1
La4 La 0.660 0.340 0.250 1
Si1 Si 0.056 0.944 0.078 1
Si2 Si 0.056 0.944 0.422 1
Si3 Si 0.280 0.720 0.250 1
Si4 Si 0.720 0.280 0.750 1
Si5 Si 0.944 0.056 0.578 1
Si6 Si 0.944 0.056 0.922 1
```

=====

(8)
A relaxed Li2LaTl crystal, computed with r²SCAN.

Output
electronic total energy = -22.274 eV/atom

Cell and atoms, written as CIF:
```
data_Li2LaTl
_cell_length_a 7.083
_cell_length_b 7.083
_cell_length_c 7.083
_cell_angle_alpha 90.00
_cell_angle_beta 90.00
_cell_angle_gamma 90.00
_symmetry_space_group_name_H-M 'P 1'
_symmetry_Int_Tables_number 1
_symmetry_space_group_name_Hall 'P 1'
loop_
_atom_site_label
_atom_site_type_symbol
_atom_site_fract_x
_atom_site_fract_y
_atom_site_fract_z
_atom_site_occupancy
Li1 Li 0.250 0.250 0.250 1
Li2 Li 0.250 0.250 0.750 1
Li3 Li 0.250 0.750 0.250 1
Li4 Li 0.250 0.750 0.750 1
Li5 Li 0.750 0.250 0.250 1
Li6 Li 0.750 0.250 0.750 1
Li7 Li 0.750 0.750 0.250 1
Li8 Li 0.750 0.750 0.750 1
La1 La 0.000 0.000 0.000 1
La2 La 0.000 0.500 0.500 1
La3 La 0.500 0.000 0.500 1
La4 La 0.500 0.500 0.000 1
Tl1 Tl 0.000 0.000 0.500 1
Tl2 Tl 0.000 0.500 0.000 1
Tl3 Tl 0.500 0.000 0.000 1
Tl4 Tl 0.500 0.500 0.500 1
```

=====

(9)
A relaxed LiLaTl2 crystal, computed with r²SCAN.

Output
electronic total energy = -35.071 eV/atom

Cell and atoms, written as CIF:
```
data_LiLaTl2
_cell_length_a 7.547
_cell_length_b 7.547
_cell_length_c 7.547
_cell_angle_alpha 90.00
_cell_angle_beta 90.00
_cell_angle_gamma 90.00
_symmetry_space_group_name_H-M 'P 1'
_symmetry_Int_Tables_number 1
_symmetry_space_group_name_Hall 'P 1'
loop_
_atom_site_label
_atom_site_type_symbol
_atom_site_fract_x
_atom_site_fract_y
_atom_site_fract_z
_atom_site_occupancy
Li1 Li 0.000 0.000 0.000 1
Li2 Li 0.000 0.500 0.500 1
Li3 Li 0.500 0.000 0.500 1
Li4 Li 0.500 0.500 0.000 1
La1 La 0.000 0.000 0.500 1
La2 La 0.000 0.500 0.000 1
La3 La 0.500 0.000 0.000 1
La4 La 0.500 0.500 0.500 1
Tl1 Tl 0.250 0.250 0.250 1
Tl2 Tl 0.250 0.250 0.750 1
Tl3 Tl 0.250 0.750 0.250 1
Tl4 Tl 0.250 0.750 0.750 1
Tl5 Tl 0.750 0.250 0.250 1
Tl6 Tl 0.750 0.250 0.750 1
Tl7 Tl 0.750 0.750 0.250 1
Tl8 Tl 0.750 0.750 0.750 1
```

=====

(10)
A relaxed LaMg12 crystal, computed with r²SCAN.

Output
electronic total energy = -6.199 eV/atom

Cell and atoms, written as CIF:
```
data_LaMg12
_cell_length_a 7.845
_cell_length_b 7.845
_cell_length_c 7.845
_cell_angle_alpha 98.19
_cell_angle_beta 98.19
_cell_angle_gamma 135.64
_symmetry_space_group_name_H-M 'P 1'
_symmetry_Int_Tables_number 1
_symmetry_space_group_name_Hall 'P 1'
loop_
_atom_site_label
_atom_site_type_symbol
_atom_site_fract_x
_atom_site_fract_y
_atom_site_fract_z
_atom_site_occupancy
La1 La 0.000 0.000 0.000 1
Mg1 Mg 0.000 0.000 0.500 1
Mg2 Mg 0.000 0.352 0.352 1
Mg3 Mg 0.000 0.500 0.000 1
Mg4 Mg 0.000 0.648 0.648 1
Mg5 Mg 0.286 0.500 0.786 1
Mg6 Mg 0.352 0.000 0.352 1
Mg7 Mg 0.500 0.000 0.000 1
Mg8 Mg 0.500 0.286 0.786 1
Mg9 Mg 0.500 0.500 0.500 1
Mg10 Mg 0.500 0.714 0.214 1
Mg11 Mg 0.648 0.000 0.648 1
Mg12 Mg 0.714 0.500 0.214 1
```

=====

(11)
A relaxed La2Mg crystal, computed with r²SCAN.

Output
energy relative to the lowest polymorph listed for this composition = 0.00 kcal/mol of atoms

Cell and atoms, written as CIF:
```
data_La2Mg
_cell_length_a 10.777
_cell_length_b 6.312
_cell_length_c 6.726
_cell_angle_alpha 90.00
_cell_angle_beta 121.95
_cell_angle_gamma 90.00
_symmetry_space_group_name_H-M 'P 1'
_symmetry_Int_Tables_number 1
_symmetry_space_group_name_Hall 'P 1'
loop_
_atom_site_label
_atom_site_type_symbol
_atom_site_fract_x
_atom_site_fract_y
_atom_site_fract_z
_atom_site_occupancy
La1 La 0.170 0.088 0.246 1
La2 La 0.170 0.912 0.746 1
La3 La 0.330 0.412 0.754 1
La4 La 0.330 0.588 0.254 1
La5 La 0.670 0.412 0.746 1
La6 La 0.670 0.588 0.246 1
La7 La 0.830 0.088 0.254 1
La8 La 0.830 0.912 0.754 1
Mg1 Mg 0.000 0.422 0.750 1
Mg2 Mg 0.000 0.578 0.250 1
Mg3 Mg 0.500 0.078 0.250 1
Mg4 Mg 0.500 0.922 0.750 1
```

=====

(12)
A relaxed La3Mg crystal, computed with r²SCAN.

Output
electronic total energy = -23.385 eV/atom

Cell and atoms, written as CIF:
```
data_La3Mg
_cell_length_a 5.053
_cell_length_b 5.053
_cell_length_c 10.459
_cell_angle_alpha 90.00
_cell_angle_beta 90.00
_cell_angle_gamma 90.00
_symmetry_space_group_name_H-M 'P 1'
_symmetry_Int_Tables_number 1
_symmetry_space_group_name_Hall 'P 1'
loop_
_atom_site_label
_atom_site_type_symbol
_atom_site_fract_x
_atom_site_fract_y
_atom_site_fract_z
_atom_site_occupancy
La1 La 0.000 0.000 0.000 1
La2 La 0.000 0.500 0.250 1
La3 La 0.000 0.500 0.750 1
La4 La 0.500 0.000 0.250 1
La5 La 0.500 0.000 0.750 1
La6 La 0.500 0.500 0.500 1
Mg1 Mg 0.000 0.000 0.500 1
Mg2 Mg 0.500 0.500 0.000 1
```